No. 1
! NbI5, optimized geometry, DFT meta-GGA r2SCAN; values from VASP
! ΔH_f (0 K) = -521 meV per atom
&SYSTEM
  ibrav = 0, nat = 24, ntyp = 2
/
ATOMIC_SPECIES
Nb 92.91 Nb.upf
I 126.90 I.upf
CELL_PARAMETERS angstrom
10.846 0.000 0.000
0.000 6.657 0.000
-4.490 0.000 13.796
ATOMIC_POSITIONS crystal
Nb 0.219 0.020 0.314
Nb 0.219 0.480 0.814
Nb 0.781 0.520 0.186
Nb 0.781 0.980 0.686
I 0.001 0.226 0.332
I 0.001 0.274 0.832
I 0.188 0.218 0.145
I 0.188 0.282 0.645
I 0.191 0.733 0.953
I 0.191 0.767 0.453
I 0.382 0.744 0.769
I 0.382 0.756 0.269
I 0.393 0.242 0.928
I 0.393 0.258 0.428
I 0.607 0.742 0.572
I 0.607 0.758 0.072
I 0.618 0.244 0.731
I 0.618 0.256 0.231
I 0.809 0.233 0.547
I 0.809 0.267 0.047
I 0.812 0.718 0.355
I 0.812 0.782 0.855
I 0.999 0.726 0.168
I 0.999 0.774 0.668

---

No. 2
! NbI3, optimized geometry, DFT meta-GGA r2SCAN; values from VASP
! ΔH_f (0 K) = -591 meV per atom
&SYSTEM
  ibrav = 0, nat = 8, ntyp = 2
/
ATOMIC_SPECIES
Nb 92.91 Nb.upf
I 126.90 I.upf
CELL_PARAMETERS angstrom
6.689 0.000 0.000
0.079 7.401 0.000
0.052 3.693 6.423
ATOMIC_POSITIONS crystal
Nb 0.000 0.000 0.000
Nb 0.500 0.000 0.000
I 0.248 0.689 0.309
I 0.249 0.999 0.690
I 0.251 0.311 0.000
I 0.749 0.689 0.000
I 0.751 0.001 0.310
I 0.752 0.311 0.691

---

No. 3
! NbIO2, optimized geometry, DFT meta-GGA r2SCAN; values from VASP
! ΔH_f (0 K) = -2098 meV per atom
&SYSTEM
  ibrav = 0, nat = 16, ntyp = 3
/
ATOMIC_SPECIES
Nb 92.91 Nb.upf
I 126.90 I.upf
O 16.00 O.upf
CELL_PARAMETERS angstrom
21.420 0.000 0.000
0.000 3.801 0.000
0.000 0.000 3.967
ATOMIC_POSITIONS crystal
Nb 0.066 0.250 0.047
Nb 0.434 0.750 0.547
Nb 0.566 0.250 0.453
Nb 0.934 0.750 0.953
I 0.172 0.750 0.997
I 0.328 0.250 0.497
I 0.672 0.750 0.503
I 0.828 0.250 0.003
O 0.032 0.750 0.993
O 0.072 0.250 0.503
O 0.428 0.750 0.003
O 0.468 0.250 0.493
O 0.532 0.750 0.507
O 0.572 0.250 0.997
O 0.928 0.750 0.497
O 0.968 0.250 0.007

---

No. 4
! Nb3Te8I7O, optimized geometry, DFT meta-GGA r2SCAN; values from VASP
! ΔH_f (0 K) = -604 meV per atom
&SYSTEM
  ibrav = 0, nat = 76, ntyp = 4
/
ATOMIC_SPECIES
Nb 92.91 Nb.upf
Te 127.60 Te.upf
I 126.90 I.upf
O 16.00 O.upf
CELL_PARAMETERS angstrom
9.114 0.000 0.000
0.000 16.329 0.000
-5.057 0.000 19.648
ATOMIC_POSITIONS crystal
Nb 0.182 0.143 0.121
Nb 0.182 0.357 0.621
Nb 0.202 0.128 0.676
Nb 0.202 0.372 0.176
Nb 0.266 0.204 0.550
Nb 0.266 0.296 0.050
Nb 0.734 0.704 0.950
Nb 0.734 0.796 0.450
Nb 0.798 0.628 0.824
Nb 0.798 0.872 0.324
Nb 0.818 0.643 0.379
Nb 0.818 0.857 0.879
Te 0.074 0.129 0.249
Te 0.074 0.371 0.749
Te 0.085 0.205 0.787
Te 0.085 0.295 0.287
Te 0.219 0.134 0.988
Te 0.219 0.366 0.488
Te 0.250 0.029 0.571
Te 0.250 0.471 0.071
Te 0.385 0.131 0.257
Te 0.385 0.369 0.757
Te 0.398 0.202 0.797
Te 0.398 0.298 0.297
Te 0.470 0.159 0.090
Te 0.470 0.341 0.590
Te 0.490 0.112 0.647
Te 0.490 0.388 0.147
Te 0.510 0.612 0.853
Te 0.510 0.888 0.353
Te 0.530 0.659 0.410
Te 0.530 0.841 0.910
Te 0.602 0.702 0.703
Te 0.602 0.798 0.203
Te 0.615 0.631 0.243
Te 0.615 0.869 0.743
Te 0.750 0.529 0.929
Te 0.750 0.971 0.429
Te 0.781 0.634 0.512
Te 0.781 0.866 0.012
Te 0.915 0.705 0.713
Te 0.915 0.795 0.213
Te 0.926 0.629 0.251
Te 0.926 0.871 0.751
I 0.010 0.676 0.043
I 0.010 0.824 0.543
I 0.094 0.575 0.871
I 0.094 0.925 0.371
I 0.122 0.625 0.444
I 0.122 0.875 0.944
I 0.223 0.528 0.654
I 0.223 0.972 0.154
I 0.273 0.012 0.787
I 0.273 0.488 0.287
I 0.279 0.730 0.250
I 0.279 0.770 0.750
I 0.447 0.163 0.458
I 0.447 0.337 0.958
I 0.553 0.663 0.042
I 0.553 0.837 0.542
I 0.721 0.230 0.250
I 0.721 0.270 0.750
I 0.727 0.512 0.713
I 0.727 0.988 0.213
I 0.777 0.028 0.846
I 0.777 0.472 0.346
I 0.878 0.125 0.056
I 0.878 0.375 0.556
I 0.906 0.075 0.629
I 0.906 0.425 0.129
I 0.990 0.176 0.457
I 0.990 0.324 0.957
O 0.177 0.238 0.635
O 0.177 0.262 0.135
O 0.823 0.738 0.865
O 0.823 0.762 0.365

---

Number 1: spin magnetization 0.00 μB per formula unit. Number 2: spin magnetization 1.40 μB per formula unit. Number 3: spin magnetization 0.00 μB per formula unit. Number 4: spin magnetization 0.00 μB per formula unit.